Computed, not measured: crystalline GdCO4 at its relaxed geometry at the PBE-GGA level of DFT.

Output
Calculated volume in A^3/atom: 11.7
ΔE_f in eV/f.u.: -15.00
DFT total energy in eV/atom: -9.2251
Total magnetization in Bohr magnetons per cell: 108.000

Unit cell a=12.236 b=9.772 c=12.239 alpha=90.00 beta=119.98 gamma=90.00
Space group Pm (No. 6)
Inequivalent atoms, fractional coordinates:
Gd 0.000 0.240 0.000
Gd 0.006 0.240 0.658
Gd 0.324 0.257 0.985
Gd 0.331 0.256 0.316
Gd 0.341 0.256 0.666
Gd 0.657 0.240 0.650
Gd 0.666 0.257 0.332
Gd 0.673 0.257 0.991
Gd 0.991 0.256 0.325
C 0.052 0.000 0.463
C 0.088 0.500 0.791
C 0.091 0.000 0.862
C 0.114 0.500 0.534
C 0.124 0.500 0.231
C 0.194 0.000 0.240
C 0.379 0.000 0.122
C 0.418 0.000 0.606
C 0.426 0.500 0.543
C 0.440 0.500 0.193
C 0.464 0.500 0.898
C 0.535 0.000 0.907
C 0.709 0.500 0.569
C 0.750 0.000 0.279
C 0.759 0.500 0.217
C 0.777 0.000 0.566
C 0.795 0.000 0.880
C 0.866 0.500 0.948
O 0.028 0.000 0.740
O 0.047 0.000 0.355
O 0.050 0.500 0.411
O 0.052 0.116 0.514
O 0.064 0.384 0.203
O 0.122 0.116 0.921
O 0.138 0.385 0.842
O 0.143 0.116 0.189
O 0.145 0.384 0.593
O 0.214 0.309 0.093
O 0.221 0.244 0.436
O 0.229 0.191 0.769
O 0.246 0.500 0.290
O 0.302 0.000 0.343
O 0.315 0.000 0.611
O 0.367 0.500 0.607
O 0.374 0.000 0.013
O 0.379 0.116 0.172
O 0.386 0.500 0.072
O 0.403 0.385 0.864
O 0.454 0.384 0.512
O 0.467 0.385 0.254
O 0.468 0.116 0.606
O 0.485 0.116 0.858
O 0.546 0.191 0.428
O 0.554 0.246 0.103
O 0.564 0.309 0.771
O 0.585 0.500 0.965
O 0.644 0.000 0.012
O 0.645 0.000 0.283
O 0.692 0.500 0.271
O 0.706 0.500 0.674
O 0.709 0.384 0.519
O 0.718 0.000 0.629
O 0.736 0.116 0.851
O 0.793 0.385 0.190
O 0.799 0.116 0.279
O 0.806 0.116 0.536
O 0.816 0.385 0.948
O 0.886 0.309 0.443
O 0.888 0.259 0.770
O 0.889 0.191 0.111
O 0.918 0.000 0.940
O 0.974 0.500 0.951
O 0.983 0.500 0.683